1.
First-principles (GGA-PBE) data for K5As3Pb3 after structural relaxation, as listed in Materials Project.

```
K5As3Pb3
1.0
6.678 0.000 0.000
0.000 12.347 0.000
0.000 0.000 19.767
K As Pb
20 12 12
Cartesian
5.148 6.735 6.349
1.744 9.260 17.191
3.018 9.260 11.921
5.084 3.087 12.460
1.595 9.260 7.307
3.660 3.087 7.846
1.809 5.612 3.534
0.321 9.260 2.038
5.148 11.786 6.349
4.870 11.786 16.233
1.809 0.561 3.534
4.870 6.735 16.233
0.000 0.000 0.000
1.531 5.612 13.418
1.531 0.561 13.418
3.339 0.000 9.884
6.358 3.087 17.729
4.934 3.087 2.576
3.339 6.174 9.884
0.000 6.174 0.000
4.947 9.260 9.014
5.071 9.260 18.897
1.568 5.517 16.742
5.110 11.691 3.025
1.771 0.656 6.858
4.907 6.830 12.909
4.907 11.691 12.909
1.568 0.656 16.742
1.732 3.087 10.753
1.771 5.517 6.858
5.110 6.830 3.025
1.608 3.087 0.870
6.541 10.895 10.751
0.137 1.453 9.016
6.272 9.260 13.710
3.746 9.260 3.827
6.541 7.626 10.751
0.407 3.087 6.057
0.137 4.721 9.016
3.477 10.895 0.867
3.202 4.721 18.900
3.202 1.453 18.900
3.477 7.626 0.867
2.932 3.087 15.940
```

Space group   No. 62
VASP energy   -3.148 eV per atom
ΔE_f   -4.0 eV per formula unit

2.
First-principles (GGA-PBE) data for Mg14BiB after structural relaxation, as listed in Materials Project.

```
Mg14BiB
1.0
6.322 0.000 0.000
-3.161 5.475 0.000
0.000 0.000 10.170
Mg Bi B
14 1 1
Cartesian
-1.611 4.545 1.271
-1.569 4.570 6.357
3.161 1.861 1.271
3.161 1.812 6.357
1.611 4.545 1.271
1.569 4.570 6.357
1.567 0.920 3.643
1.567 0.920 9.070
0.000 3.634 3.643
0.000 3.634 9.070
4.755 0.920 3.643
4.755 0.920 9.070
3.161 3.650 3.837
3.161 3.650 8.877
0.000 1.825 6.357
0.000 1.825 1.271
```

Space group   No. 187
VASP energy   -1.892 eV per atom
ΔE_f   2.7 eV per formula unit